No. 1
This record from Materials Project describes an optimized crystal structure of SmF3. The functional is PBE.

POSCAR file:
```
SmF3
1.0
6.679 0.000 0.000
0.000 7.101 0.000
0.000 0.000 4.460
Sm F
4 12
Direct
0.132 0.250 0.065 Sm
0.368 0.750 0.565 Sm
0.632 0.250 0.435 Sm
0.868 0.750 0.935 Sm
0.020 0.750 0.421 F
0.164 0.564 0.887 F
0.164 0.936 0.887 F
0.336 0.064 0.387 F
0.336 0.436 0.387 F
0.480 0.250 0.921 F
0.520 0.750 0.079 F
0.664 0.564 0.613 F
0.664 0.936 0.613 F
0.836 0.064 0.113 F
0.836 0.436 0.113 F
0.980 0.250 0.579 F
```

The energy of formation from the pure elements is -4444 meV/atom. Its symmetry is Pnma.

---

No. 2
This record from Materials Project describes an optimized crystal structure of Sm2F. The functional is PBE.

POSCAR file:
```
Sm2F
1.0
13.752 -1.944 0.000
13.752 1.944 0.000
-1.063 0.000 7.560
Sm F
10 5
Direct
0.000 0.000 0.000 Sm
0.000 0.000 0.499 Sm
0.199 0.199 0.098 Sm
0.203 0.203 0.599 Sm
0.398 0.398 0.200 Sm
0.402 0.402 0.697 Sm
0.599 0.599 0.293 Sm
0.601 0.601 0.807 Sm
0.800 0.800 0.399 Sm
0.801 0.801 0.899 Sm
0.052 0.052 0.773 F
0.651 0.651 0.572 F
0.749 0.749 0.122 F
0.851 0.851 0.675 F
0.949 0.949 0.223 F
```

The energy of formation from the pure elements is -1776 meV/atom. Its symmetry is Cm.

---

No. 3
This record from Materials Project describes an optimized crystal structure of SmZrF7. The functional is PBE.

POSCAR file:
```
SmZrF7
1.0
9.271 0.000 0.000
0.000 5.845 0.000
-5.817 0.000 11.007
Sm Zr F
4 4 28
Direct
0.186 0.243 0.267 Sm
0.186 0.257 0.767 Sm
0.814 0.743 0.233 Sm
0.814 0.757 0.733 Sm
0.274 0.745 0.045 Zr
0.274 0.755 0.545 Zr
0.726 0.245 0.455 Zr
0.726 0.255 0.955 Zr
0.027 0.740 0.943 F
0.027 0.760 0.443 F
0.028 0.573 0.735 F
0.028 0.927 0.235 F
0.255 0.536 0.170 F
0.255 0.964 0.670 F
0.266 0.012 0.148 F
0.266 0.488 0.648 F
0.282 0.041 0.452 F
0.282 0.459 0.952 F
0.288 0.536 0.423 F
0.288 0.964 0.923 F
0.478 0.234 0.359 F
0.478 0.266 0.859 F
0.522 0.734 0.141 F
0.522 0.766 0.641 F
0.712 0.036 0.077 F
0.712 0.464 0.577 F
0.718 0.541 0.048 F
0.718 0.959 0.548 F
0.734 0.512 0.352 F
0.734 0.988 0.852 F
0.745 0.036 0.330 F
0.745 0.464 0.830 F
0.972 0.073 0.765 F
0.972 0.427 0.265 F
0.973 0.240 0.557 F
0.973 0.260 0.057 F
```

The energy of formation from the pure elements is -4227 meV/atom. Its symmetry is P2_1/c.

---

No. 4
This record from Materials Project describes an optimized crystal structure of SmZrF7. The functional is PBE.

POSCAR file:
```
SmZrF7
1.0
6.223 0.000 0.000
0.000 5.919 0.000
-1.885 0.000 8.239
Sm Zr F
2 2 14
Direct
0.154 0.000 0.188 Sm
0.846 0.500 0.812 Sm
0.315 0.007 0.725 Zr
0.685 0.507 0.275 Zr
0.038 0.708 0.017 F
0.074 0.768 0.709 F
0.099 0.272 0.709 F
0.266 0.001 0.479 F
0.358 0.011 0.971 F
0.438 0.272 0.254 F
0.443 0.745 0.264 F
0.557 0.245 0.736 F
0.562 0.772 0.746 F
0.642 0.511 0.029 F
0.734 0.501 0.521 F
0.901 0.772 0.291 F
0.926 0.268 0.291 F
0.962 0.208 0.983 F
```

The energy of formation from the pure elements is -4224 meV/atom. Its symmetry is P2_1.

---

No. 5
This record from Materials Project describes an optimized crystal structure of SnF3. The functional is PBE.

POSCAR file:
```
SnF3
1.0
0.000 4.400 4.400
4.400 0.000 4.400
4.400 4.400 0.000
Sn F
2 6
Direct
0.000 0.000 0.000 Sn
0.500 0.500 0.500 Sn
0.229 0.229 0.771 F
0.229 0.771 0.229 F
0.229 0.771 0.771 F
0.771 0.229 0.229 F
0.771 0.229 0.771 F
0.771 0.771 0.229 F
```

The energy of formation from the pure elements is -2752 meV/atom. Its symmetry is Fm-3m.

---

No. 6
This record from Materials Project describes an optimized crystal structure of Sn3F8. The functional is PBE.

POSCAR file:
```
Sn3F8
1.0
5.494 0.000 0.000
0.000 5.497 0.000
-5.380 0.000 12.493
Sn F
6 16
Direct
0.000 0.000 0.000 Sn
0.000 0.500 0.500 Sn
0.373 0.055 0.333 Sn
0.373 0.445 0.833 Sn
0.627 0.555 0.167 Sn
0.627 0.945 0.667 Sn
0.011 0.031 0.150 F
0.011 0.469 0.650 F
0.225 0.696 0.047 F
0.225 0.804 0.547 F
0.327 0.200 0.037 F
0.327 0.300 0.537 F
0.416 0.107 0.754 F
0.416 0.393 0.254 F
0.584 0.607 0.746 F
0.584 0.893 0.246 F
0.673 0.700 0.463 F
0.673 0.800 0.963 F
0.775 0.196 0.453 F
0.775 0.304 0.953 F
0.989 0.531 0.350 F
0.989 0.969 0.850 F
```

The energy of formation from the pure elements is -2706 meV/atom. Its symmetry is P2_1/c.

---

No. 7
This record from Materials Project describes an optimized crystal structure of SnF3. The functional is PBE.

POSCAR file:
```
SnF3
1.0
4.192 0.000 0.000
0.550 7.483 0.000
0.544 0.083 9.276
Sn F
4 12
Direct
0.039 0.223 0.306 Sn
0.226 0.759 0.166 Sn
0.774 0.241 0.834 Sn
0.961 0.777 0.694 Sn
0.135 0.852 0.363 F
0.233 0.698 0.962 F
0.238 0.021 0.118 F
0.263 0.507 0.233 F
0.278 0.251 0.831 F
0.485 0.199 0.397 F
0.515 0.801 0.603 F
0.722 0.749 0.169 F
0.737 0.493 0.767 F
0.762 0.979 0.882 F
0.767 0.302 0.038 F
0.865 0.148 0.637 F
```

The energy of formation from the pure elements is -2655 meV/atom. Its symmetry is P-1.

---

No. 8
This record from Materials Project describes an optimized crystal structure of TlSn2F5. The functional is PBE.

POSCAR file:
```
TlSn2F5
1.0
3.465 -2.692 0.000
3.465 2.692 0.000
-0.527 0.000 9.358
Tl Sn F
1 2 5
Direct
0.000 0.000 0.000 Tl
0.306 0.306 0.612 Sn
0.657 0.657 0.314 Sn
0.010 0.010 0.649 F
0.156 0.660 0.265 F
0.360 0.360 0.826 F
0.645 0.645 0.092 F
0.660 0.156 0.265 F
```

The energy of formation from the pure elements is -2326 meV/atom. Its symmetry is Cm.

---

No. 9
This record from Materials Project describes an optimized crystal structure of Tl5SnF9. The functional is PBE.

POSCAR file:
```
Tl5SnF9
1.0
8.324 0.000 0.000
0.000 9.841 0.000
0.000 0.000 7.223
Tl Sn F
10 2 18
Direct
0.000 0.233 0.000 Tl
0.000 0.767 0.500 Tl
0.226 0.427 0.597 Tl
0.226 0.573 0.097 Tl
0.231 0.087 0.484 Tl
0.231 0.913 0.984 Tl
0.769 0.087 0.484 Tl
0.769 0.913 0.984 Tl
0.774 0.427 0.597 Tl
0.774 0.573 0.097 Tl
0.500 0.250 0.041 Sn
0.500 0.750 0.541 Sn
0.000 0.017 0.257 F
0.000 0.247 0.579 F
0.000 0.484 0.854 F
0.000 0.516 0.354 F
0.000 0.753 0.079 F
0.000 0.983 0.757 F
0.324 0.302 0.218 F
0.324 0.698 0.718 F
0.325 0.196 0.862 F
0.325 0.804 0.362 F
0.500 0.064 0.152 F
0.500 0.435 0.931 F
0.500 0.565 0.431 F
0.500 0.936 0.652 F
0.675 0.196 0.862 F
0.675 0.804 0.362 F
0.676 0.302 0.218 F
0.676 0.698 0.718 F
```

The energy of formation from the pure elements is -2295 meV/atom. Its symmetry is Pmc2_1.

---

No. 10
This record from Materials Project describes an optimized crystal structure of ZnSnF4. The functional is PBE.

POSCAR file:
```
ZnSnF4
1.0
5.169 0.000 0.000
0.012 5.573 0.000
2.320 2.026 5.915
Zn Sn F
2 2 8
Direct
0.000 0.000 0.000 Zn
0.497 0.497 0.999 Zn
0.266 0.751 0.459 Sn
0.736 0.222 0.545 Sn
0.150 0.672 0.123 F
0.244 0.153 0.134 F
0.313 0.038 0.684 F
0.475 0.515 0.694 F
0.524 0.475 0.304 F
0.684 0.951 0.316 F
0.751 0.847 0.863 F
0.851 0.328 0.872 F
```

The energy of formation from the pure elements is -2563 meV/atom. Its symmetry is P1.

---

No. 11
This record from Materials Project describes an optimized crystal structure of SrF2. The functional is PBE.

POSCAR file:
```
SrF2
1.0
6.372 0.000 0.000
0.000 3.831 0.000
0.000 0.000 7.521
Sr F
4 8
Direct
0.249 0.250 0.114 Sr
0.251 0.750 0.614 Sr
0.749 0.250 0.386 Sr
0.751 0.750 0.886 Sr
0.026 0.750 0.333 F
0.143 0.750 0.929 F
0.357 0.250 0.429 F
0.474 0.250 0.833 F
0.526 0.750 0.167 F
0.643 0.750 0.571 F
0.857 0.250 0.071 F
0.974 0.250 0.667 F
```

The energy of formation from the pure elements is -4183 meV/atom. Its symmetry is Pnma.

---

No. 12
This record from Materials Project describes an optimized crystal structure of SrF. The functional is PBE.

POSCAR file:
```
SrF
1.0
4.239 0.000 0.000
-2.120 3.671 0.000
0.000 0.000 6.828
Sr F
2 2
Direct
0.333 0.667 0.000 Sr
0.667 0.333 0.500 Sr
0.333 0.667 0.622 F
0.667 0.333 0.122 F
```

The energy of formation from the pure elements is -2853 meV/atom. Its symmetry is P6_3mc.

---

Question: What is the energy of formation from the pure elements in the second record?
Answer: -1776 meV/atom

---

Question: Look up the energy of formation from the pure elements of the sixth one.
Answer: -2706 meV/atom